(1)
A plane-wave DFT calculation with PBE was carried out for an optimized crystal structure of Ti5Al2C3.

Properties
symmetry	R-3m (166)
ΔH_f (0 K)	-0.74	eV per atom

a = 16.303 Å, b = 16.303 Å, c = 16.303 Å
α = 10.82°, β = 10.82°, γ = 10.82°
Sites, in units of the cell vectors:
Ti 0.000 0.000 0.000
Ti 0.190 0.190 0.190
Ti 0.285 0.285 0.285
Ti 0.715 0.715 0.715
Ti 0.810 0.810 0.810
Al 0.096 0.096 0.096
Al 0.904 0.904 0.904
C 0.360 0.360 0.360
C 0.500 0.500 0.500
C 0.640 0.640 0.640

***

(2)
A plane-wave DFT calculation with PBE was carried out for an optimized crystal structure of MgCdS2.

Properties
symmetry	P4/mmm (123)
ΔH_f (0 K)	-1.18	eV per atom

a = 3.808 Å, b = 3.808 Å, c = 5.386 Å
α = 90.00°, β = 90.00°, γ = 90.00°
Sites, in units of the cell vectors:
Mg 0.000 0.000 0.000
Cd 0.500 0.500 0.500
S 0.000 0.000 0.500
S 0.500 0.500 0.000

***

(3)
A plane-wave DFT calculation with PBE was carried out for an optimized crystal structure of Pr5Ir3.

Properties
symmetry	P4/ncc (130)
ΔH_f (0 K)	-0.58	eV per atom

a = 11.340 Å, b = 11.340 Å, c = 6.606 Å
α = 90.00°, β = 90.00°, γ = 90.00°
Sites, in units of the cell vectors:
Pr 0.041 0.162 0.120
Pr 0.041 0.338 0.620
Pr 0.162 0.041 0.620
Pr 0.162 0.459 0.120
Pr 0.250 0.750 0.000
Pr 0.250 0.750 0.500
Pr 0.338 0.041 0.120
Pr 0.338 0.459 0.620
Pr 0.459 0.162 0.620
Pr 0.459 0.338 0.120
Pr 0.541 0.662 0.880
Pr 0.541 0.838 0.380
Pr 0.662 0.541 0.380
Pr 0.662 0.959 0.880
Pr 0.750 0.250 0.000
Pr 0.750 0.250 0.500
Pr 0.838 0.541 0.880
Pr 0.838 0.959 0.380
Pr 0.959 0.662 0.380
Pr 0.959 0.838 0.880
Ir 0.096 0.596 0.750
Ir 0.096 0.904 0.250
Ir 0.250 0.250 0.386
Ir 0.250 0.250 0.886
Ir 0.404 0.596 0.250
Ir 0.404 0.904 0.750
Ir 0.596 0.096 0.250
Ir 0.596 0.404 0.750
Ir 0.750 0.750 0.114
Ir 0.750 0.750 0.614
Ir 0.904 0.096 0.750
Ir 0.904 0.404 0.250